1.
Bi2TeSe2 | r2SCAN | optimized geometry

The formation energy comes out at -38 kJ/mol of atoms. As for the total energy: -34.60 eV/atom. Its space group is No. 160.

Cell lengths 10.5353, 10.5353, 10.5353 Å; angles 23.24, 23.24, 23.24 degrees
Sites, in units of the cell vectors:
Bi  0.6032  0.6032  0.6032
Bi  0.3935  0.3935  0.3935
Se  0.9976  0.9976  0.9976
Se  0.2207  0.2207  0.2207
Te  0.7850  0.7850  0.7850

***

2.
Bi2Te2Se | r2SCAN | optimized geometry

The formation energy comes out at -33 kJ/mol of atoms. As for the total energy: -36.78 eV/atom. Its space group is No. 166.

Cell lengths 10.8757, 10.8757, 10.8757 Å; angles 22.92, 22.92, 22.92 degrees
Sites, in units of the cell vectors:
Se  0.0000  0.0000  0.0000
Bi  0.6083  0.6083  0.6083
Bi  0.3917  0.3917  0.3917
Te  0.7804  0.7804  0.7804
Te  0.2196  0.2196  0.2196

***

3.
Bi4Te3Se3 | r2SCAN | optimized geometry

The formation energy comes out at -35 kJ/mol of atoms. As for the total energy: -35.69 eV/atom. Its space group is No. 8.

Cell lengths 10.7767, 10.7767, 7.4147 Å; angles 83.37, 83.37, 22.93 degrees
Sites, in units of the cell vectors:
Bi  0.0901  0.0901  0.2992
Bi  0.4129  0.4129  0.1963
Bi  0.5914  0.5914  0.8086
Bi  0.9106  0.9106  0.6957
Te  0.3269  0.3269  0.8935
Te  0.8274  0.8274  0.3885
Te  0.1750  0.1750  0.6088
Se  0.5022  0.5022  0.4985
Se  0.0010  0.0010  0.9993
Se  0.6625  0.6625  0.1116

***

4.
SmBi3 | r2SCAN | optimized geometry

The formation energy comes out at -41 kJ/mol of atoms. As for the total energy: -51.73 eV/atom. Its space group is No. 194.

Cell lengths 6.8857, 6.8857, 5.9841 Å; angles 90.00, 90.00, 120.00 degrees
Sites, in units of the cell vectors:
Sm  0.6667  0.3333  0.2500
Sm  0.3333  0.6667  0.7500
Bi  0.8250  0.6500  0.7500
Bi  0.3500  0.1750  0.7500
Bi  0.8250  0.1750  0.7500
Bi  0.1750  0.3500  0.2500
Bi  0.6500  0.8250  0.2500
Bi  0.1750  0.8250  0.2500

***

5.
SmBi3 | r2SCAN | optimized geometry

The formation energy comes out at -42 kJ/mol of atoms. As for the total energy: -51.75 eV/atom. Its space group is No. 139.

Cell lengths 6.5433, 6.5433, 6.5433 Å; angles 138.35, 138.35, 60.36 degrees
Sites, in units of the cell vectors:
Bi  0.7500  0.2500  0.5000
Bi  0.2500  0.7500  0.5000
Bi  0.5000  0.5000  0.0000
Sm  0.0000  0.0000  0.0000

***

6.
Sm5Bi3 | r2SCAN | optimized geometry

The formation energy comes out at -87 kJ/mol of atoms. As for the total energy: -41.43 eV/atom. Its space group is No. 193.

Cell lengths 6.5127, 9.3660, 9.3659 Å; angles 120.00, 90.00, 90.00 degrees
Sites, in units of the cell vectors:
Sm  0.7500  0.0000  0.2474
Sm  0.2500  0.0000  0.7526
Sm  0.7500  0.7526  0.7526
Sm  0.7500  0.2474  0.0000
Sm  0.0000  0.6667  0.3333
Sm  0.2500  0.2474  0.2474
Sm  0.5000  0.6667  0.3333
Sm  0.0000  0.3333  0.6667
Sm  0.2500  0.7526  0.0000
Sm  0.5000  0.3333  0.6667
Bi  0.7500  0.6131  0.0000
Bi  0.7500  0.3870  0.3870
Bi  0.7500  0.0000  0.6130
Bi  0.2500  0.6130  0.6130
Bi  0.2500  0.0000  0.3870
Bi  0.2500  0.3869  0.0000